The following is a PBE calculation of crystalline ZrCuH8O4F6 at its relaxed geometry, from the Materials Project database.

POSCAR file:
```
ZrCuH8O4F6
1.0
5.8021 0.0000 0.0000
0.0000 10.0321 0.0000
-1.6007 0.0000 7.4644
Zr Cu H O F
2 2 16 8 12
Direct
0.0000 0.0000 0.0000 Zr
0.0000 0.5000 0.5000 Zr
0.5000 0.0000 0.5000 Cu
0.5000 0.5000 0.0000 Cu
0.2579 0.1365 0.6851 H
0.2581 0.2099 0.4992 H
0.2581 0.2901 0.9992 H
0.2579 0.3635 0.1851 H
0.2840 0.6442 0.2070 H
0.2840 0.8558 0.7070 H
0.2857 0.7209 0.0264 H
0.2857 0.7791 0.5264 H
0.7143 0.2209 0.4736 H
0.7143 0.2791 0.9736 H
0.7160 0.1442 0.2930 H
0.7160 0.3558 0.7930 H
0.7421 0.6365 0.8149 H
0.7419 0.7099 0.0008 H
0.7419 0.7901 0.5008 H
0.7421 0.8635 0.3149 H
0.2570 0.1213 0.5572 O
0.2570 0.3787 0.0572 O
0.3754 0.6567 0.1123 O
0.3754 0.8433 0.6123 O
0.6246 0.1567 0.3877 O
0.6246 0.3433 0.8877 O
0.7430 0.6213 0.9428 O
0.7430 0.8787 0.4428 O
0.1460 0.6510 0.3778 F
0.1460 0.8490 0.8778 F
0.2116 0.1362 0.9074 F
0.2116 0.3638 0.4074 F
0.2501 0.5351 0.7207 F
0.2501 0.9649 0.2207 F
0.7499 0.0351 0.7793 F
0.7499 0.4649 0.2793 F
0.7884 0.6362 0.5926 F
0.7884 0.8638 0.0926 F
0.8540 0.1510 0.1222 F
0.8540 0.3490 0.6222 F
```

Calculated values
total energy: -5.342 eV/atom
energy of formation from the pure elements: -199.2 kJ per mole of atoms

=====

The following is a PBE calculation of crystalline K2CuI2F2 at its relaxed geometry, from the Materials Project database.

POSCAR file:
```
K2CuI2F2
1.0
5.2912 0.0000 0.0000
0.0000 5.2912 0.0000
0.0000 0.0000 7.5252
K Cu I F
2 1 2 2
Direct
0.0000 0.5000 0.0000 K
0.5000 0.0000 0.0000 K
0.0000 0.0000 0.5000 Cu
0.0000 0.5000 0.5000 I
0.5000 0.0000 0.5000 I
0.0000 0.0000 0.0000 F
0.5000 0.5000 0.0000 F
```

Calculated values
total energy: -3.315 eV/atom
energy of formation from the pure elements: -150.7 kJ per mole of atoms

=====

The following is a PBE calculation of crystalline Na2InCuF7 at its relaxed geometry, from the Materials Project database.

POSCAR file:
```
Na2InCuF7
1.0
10.7297 0.0000 0.0000
0.0000 7.3606 0.0000
0.0000 0.0000 7.8356
Na In Cu F
8 4 4 28
Direct
0.0000 0.0000 0.0000 Na
0.0000 0.5000 0.0000 Na
0.2378 0.2500 0.2825 Na
0.2622 0.7500 0.7825 Na
0.5000 0.0000 0.5000 Na
0.5000 0.5000 0.5000 Na
0.7378 0.2500 0.2175 Na
0.7622 0.7500 0.7175 Na
0.2327 0.2500 0.7745 In
0.2673 0.7500 0.2745 In
0.7327 0.2500 0.7255 In
0.7673 0.7500 0.2255 In
0.0000 0.0000 0.5000 Cu
0.0000 0.5000 0.5000 Cu
0.5000 0.0000 0.0000 Cu
0.5000 0.5000 0.0000 Cu
0.0331 0.2500 0.4602 F
0.1222 0.0186 0.7346 F
0.1222 0.4814 0.7346 F
0.1402 0.5455 0.3497 F
0.1402 0.9545 0.3497 F
0.1415 0.2500 0.0170 F
0.1669 0.7500 0.0444 F
0.3331 0.2500 0.5444 F
0.3585 0.7500 0.5170 F
0.3598 0.0455 0.8497 F
0.3598 0.4545 0.8497 F
0.3778 0.5186 0.2346 F
0.3778 0.9814 0.2346 F
0.4669 0.7500 0.9602 F
0.5331 0.2500 0.0398 F
0.6222 0.0186 0.7654 F
0.6222 0.4814 0.7654 F
0.6402 0.5455 0.1503 F
0.6402 0.9545 0.1503 F
0.6415 0.2500 0.4830 F
0.6669 0.7500 0.4556 F
0.8331 0.2500 0.9556 F
0.8585 0.7500 0.9830 F
0.8598 0.0455 0.6503 F
0.8598 0.4545 0.6503 F
0.8778 0.5186 0.2654 F
0.8778 0.9814 0.2654 F
0.9669 0.7500 0.5398 F
```

Calculated values
total energy: -4.410 eV/atom
energy of formation from the pure elements: -253.0 kJ per mole of atoms

=====

Among the records above, which one has the highest total energy?
K2CuI2F2

=====

The highest total energy belongs to which entry?
K2CuI2F2